Material: Lu2NiSn6
Method: DFT, GGA-PBE
State: optimized geometry

The calculation puts the final energy at -4.711 eV/atom. As for the crystal system: orthorhombic. The value obtained for the density is 8.67 g cm⁻³. For the energy of formation, the calculation gives -391 meV per atom.

Geometry as CIF:
```
data_Lu2NiSn6
_chemical_formula_sum 'Lu2 Ni1 Sn6'
_cell_length_a 11.346
_cell_length_b 11.346
_cell_length_c 4.418
_cell_angle_alpha 90.00
_cell_angle_beta 90.00
_cell_angle_gamma 157.81
_symmetry_space_group_name_H-M 'P 1'
_symmetry_Int_Tables_number 1
loop_
_symmetry_equiv_pos_as_xyz
'x,y,z'
loop_
_atom_site_label
_atom_site_fract_x
_atom_site_fract_y
_atom_site_fract_z
Lu1 0.179 0.821 0.000
Lu2 0.821 0.179 0.000
Sn1 0.928 0.072 0.500
Sn2 0.703 0.297 0.500
Sn3 0.429 0.571 0.000
Sn4 0.571 0.429 0.000
Sn5 0.072 0.928 0.500
Sn6 0.297 0.703 0.500
Ni1 0.500 0.500 0.500
```